Entry 1:
A plane-wave DFT calculation with GGA+U was carried out for an optimized crystal structure of Ge2MoO6.

POSCAR file:
```
Ge2MoO6
1.0
10.396 0.000 0.000
0.000 9.291 0.000
-1.456 0.000 5.387
Ge Mo O
8 4 24
direct
0.029 0.158 0.148
0.029 0.342 0.648
0.449 0.170 0.297
0.449 0.330 0.797
0.551 0.670 0.203
0.551 0.830 0.703
0.971 0.658 0.352
0.971 0.842 0.852
0.259 0.645 0.740
0.259 0.855 0.240
0.741 0.145 0.760
0.741 0.355 0.260
0.093 0.519 0.705
0.093 0.981 0.205
0.095 0.237 0.446
0.095 0.263 0.946
0.151 0.695 0.395
0.151 0.805 0.895
0.372 0.682 0.113
0.372 0.818 0.613
0.389 0.204 0.560
0.389 0.296 0.060
0.390 0.502 0.694
0.390 0.998 0.194
0.610 0.002 0.806
0.610 0.498 0.306
0.611 0.704 0.940
0.611 0.796 0.440
0.628 0.182 0.387
0.628 0.318 0.887
0.849 0.195 0.105
0.849 0.305 0.605
0.905 0.737 0.054
0.905 0.763 0.554
0.907 0.019 0.795
0.907 0.481 0.295
```

For the calculated volume, the calculation gives 14.5 Å³/atom. As for the space group: P2_1/c, No. 14. For the energy of formation from the pure elements, the calculation gives -17.74 eV/f.u. The value obtained for the raw total energy is -6.689 eV per atom.



Entry 2:
A plane-wave DFT calculation with GGA+U was carried out for an optimized crystal structure of NaVGe2O6.

POSCAR file:
```
NaVGe2O6
1.0
5.588 0.000 0.000
-1.467 6.616 0.000
-2.662 -1.080 13.226
Na V Ge O
4 4 8 24
direct
0.000 0.000 0.000
0.195 0.390 0.695
0.498 0.001 0.500
0.697 0.390 0.194
0.303 0.603 0.301
0.394 0.789 0.894
0.801 0.601 0.800
0.892 0.791 0.394
0.057 0.502 0.038
0.139 0.888 0.656
0.231 0.078 0.251
0.462 0.312 0.943
0.561 0.502 0.539
0.634 0.888 0.156
0.733 0.078 0.751
0.966 0.314 0.444
0.058 0.673 0.942
0.098 0.789 0.532
0.101 0.602 0.162
0.138 0.717 0.752
0.220 0.886 0.336
0.266 0.319 0.520
0.278 0.349 0.034
0.326 0.063 0.893
0.369 0.327 0.301
0.415 0.042 0.159
0.432 0.072 0.675
0.475 0.505 0.858
0.559 0.672 0.442
0.597 0.786 0.032
0.598 0.603 0.663
0.635 0.719 0.253
0.721 0.885 0.836
0.763 0.319 0.019
0.781 0.349 0.535
0.827 0.065 0.393
0.870 0.327 0.802
0.917 0.041 0.660
0.929 0.071 0.175
0.977 0.507 0.359
```

For the calculated volume, the calculation gives 12.2 Å³/atom. As for the space group: P1, No. 1. For the energy of formation from the pure elements, the calculation gives -22.64 eV/f.u. The value obtained for the raw total energy is -6.616 eV per atom.



Entry 3:
A plane-wave DFT calculation with GGA+U was carried out for an optimized crystal structure of NiGe3O8.

POSCAR file:
```
NiGe3O8
1.0
8.120 0.000 0.000
0.000 8.120 0.000
0.000 0.000 8.120
Ni Ge O
4 12 32
direct
0.125 0.125 0.125
0.375 0.875 0.625
0.625 0.375 0.875
0.875 0.625 0.375
0.122 0.375 0.372
0.125 0.628 0.622
0.128 0.878 0.875
0.372 0.122 0.375
0.375 0.372 0.122
0.378 0.625 0.872
0.622 0.125 0.628
0.625 0.872 0.378
0.628 0.622 0.125
0.872 0.378 0.625
0.875 0.128 0.878
0.878 0.875 0.128
0.108 0.613 0.385
0.111 0.389 0.611
0.113 0.115 0.892
0.115 0.892 0.113
0.135 0.137 0.358
0.137 0.358 0.135
0.139 0.639 0.861
0.142 0.865 0.637
0.358 0.135 0.137
0.361 0.361 0.361
0.363 0.642 0.635
0.365 0.863 0.858
0.385 0.108 0.613
0.387 0.885 0.392
0.389 0.611 0.111
0.392 0.387 0.885
0.608 0.887 0.615
0.611 0.111 0.389
0.613 0.385 0.108
0.615 0.608 0.887
0.635 0.363 0.642
0.637 0.142 0.865
0.639 0.861 0.139
0.642 0.635 0.363
0.858 0.365 0.863
0.861 0.139 0.639
0.863 0.858 0.365
0.865 0.637 0.142
0.885 0.392 0.387
0.887 0.615 0.608
0.889 0.889 0.889
0.892 0.113 0.115
```

For the calculated volume, the calculation gives 11.2 Å³/atom. As for the space group: P4_332, No. 212. For the energy of formation from the pure elements, the calculation gives -19.56 eV/f.u. The value obtained for the raw total energy is -5.896 eV per atom.



Entry 4:
A plane-wave DFT calculation with GGA+U was carried out for an optimized crystal structure of NiGe2O6.

POSCAR file:
```
NiGe2O6
1.0
4.956 -4.387 0.000
4.956 4.387 0.000
-1.875 0.000 5.216
Ni Ge O
2 4 12
direct
0.081 0.919 0.750
0.919 0.081 0.250
0.204 0.390 0.734
0.390 0.204 0.234
0.610 0.796 0.766
0.796 0.610 0.266
0.019 0.189 0.625
0.070 0.638 0.803
0.189 0.019 0.125
0.347 0.392 0.506
0.362 0.930 0.697
0.392 0.347 0.006
0.608 0.653 0.994
0.638 0.070 0.303
0.653 0.608 0.494
0.811 0.981 0.875
0.930 0.362 0.197
0.981 0.811 0.375
```

For the calculated volume, the calculation gives 12.6 Å³/atom. As for the space group: C2/c, No. 15. For the energy of formation from the pure elements, the calculation gives -12.68 eV/f.u. The value obtained for the raw total energy is -5.636 eV per atom.



Entry 5:
A plane-wave DFT calculation with GGA+U was carried out for an optimized crystal structure of NiGe2O6.

POSCAR file:
```
NiGe2O6
1.0
10.128 0.000 0.000
0.000 8.974 0.000
-1.421 0.000 5.179
Ni Ge O
4 8 24
direct
0.234 0.163 0.496
0.234 0.337 0.996
0.766 0.663 0.004
0.766 0.837 0.504
0.055 0.658 0.862
0.055 0.842 0.362
0.487 0.652 0.108
0.487 0.848 0.608
0.513 0.152 0.392
0.513 0.348 0.892
0.945 0.158 0.638
0.945 0.342 0.138
0.114 0.697 0.196
0.114 0.803 0.696
0.120 0.014 0.292
0.120 0.486 0.792
0.129 0.162 0.748
0.129 0.338 0.248
0.333 0.188 0.234
0.333 0.312 0.734
0.406 0.734 0.339
0.406 0.766 0.839
0.416 0.033 0.618
0.416 0.467 0.118
0.584 0.533 0.882
0.584 0.967 0.382
0.594 0.234 0.161
0.594 0.266 0.661
0.667 0.688 0.266
0.667 0.812 0.766
0.871 0.662 0.752
0.871 0.838 0.252
0.880 0.514 0.208
0.880 0.986 0.708
0.886 0.197 0.304
0.886 0.303 0.804
```

For the calculated volume, the calculation gives 13.1 Å³/atom. As for the space group: P2_1/c, No. 14. For the energy of formation from the pure elements, the calculation gives -13.08 eV/f.u. The value obtained for the raw total energy is -5.681 eV per atom.



Entry 6:
A plane-wave DFT calculation with GGA+U was carried out for an optimized crystal structure of Ni2GeO4.

POSCAR file:
```
Ni2GeO4
1.0
0.000 4.157 4.157
4.157 0.000 4.157
4.157 4.157 0.000
Ni Ge O
4 2 8
direct
0.000 0.000 0.000
0.000 0.000 0.500
0.000 0.500 0.000
0.500 0.000 0.000
0.375 0.375 0.375
0.625 0.625 0.625
0.250 0.250 0.250
0.250 0.250 0.750
0.250 0.750 0.250
0.250 0.750 0.750
0.750 0.250 0.250
0.750 0.250 0.750
0.750 0.750 0.250
0.750 0.750 0.750
```

For the calculated volume, the calculation gives 10.3 Å³/atom. As for the space group: Fd-3m, No. 227. For the energy of formation from the pure elements, the calculation gives -11.64 eV/f.u. The value obtained for the raw total energy is -5.683 eV per atom.



Entry 7:
A plane-wave DFT calculation with GGA+U was carried out for an optimized crystal structure of Zn3Ni2Ge3O12.

POSCAR file:
```
Zn3Ni2Ge3O12
1.0
-6.000 6.000 6.000
6.000 -6.000 6.000
6.000 6.000 -6.000
Zn Ni Ge O
12 8 12 48
direct
0.125 0.250 0.375
0.125 0.375 0.750
0.250 0.375 0.125
0.250 0.875 0.625
0.375 0.125 0.250
0.375 0.750 0.125
0.625 0.250 0.875
0.625 0.875 0.750
0.750 0.125 0.375
0.750 0.625 0.875
0.875 0.625 0.250
0.875 0.750 0.625
0.000 0.000 0.000
0.000 0.000 0.500
0.000 0.500 0.000
0.000 0.500 0.500
0.500 0.000 0.000
0.500 0.000 0.500
0.500 0.500 0.000
0.500 0.500 0.500
0.125 0.750 0.875
0.125 0.875 0.250
0.250 0.125 0.875
0.250 0.625 0.375
0.375 0.250 0.625
0.375 0.625 0.750
0.625 0.375 0.250
0.625 0.750 0.375
0.750 0.375 0.625
0.750 0.875 0.125
0.875 0.125 0.750
0.875 0.250 0.125
0.028 0.208 0.128
0.028 0.320 0.900
0.080 0.708 0.680
0.080 0.872 0.400
0.100 0.628 0.420
0.100 0.972 0.680
0.128 0.028 0.208
0.128 0.600 0.920
0.180 0.208 0.580
0.180 0.472 0.600
0.208 0.128 0.028
0.208 0.580 0.180
0.292 0.320 0.920
0.292 0.472 0.372
0.320 0.900 0.028
0.320 0.920 0.292
0.372 0.292 0.472
0.372 0.580 0.900
0.400 0.080 0.872
0.400 0.820 0.528
0.420 0.100 0.628
0.420 0.820 0.792
0.472 0.372 0.292
0.472 0.600 0.180
0.528 0.400 0.820
0.528 0.628 0.708
0.580 0.180 0.208
0.580 0.900 0.372
0.600 0.180 0.472
0.600 0.920 0.128
0.628 0.420 0.100
0.628 0.708 0.528
0.680 0.080 0.708
0.680 0.100 0.972
0.708 0.528 0.628
0.708 0.680 0.080
0.792 0.420 0.820
0.792 0.872 0.972
0.820 0.528 0.400
0.820 0.792 0.420
0.872 0.400 0.080
0.872 0.972 0.792
0.900 0.028 0.320
0.900 0.372 0.580
0.920 0.128 0.600
0.920 0.292 0.320
0.972 0.680 0.100
0.972 0.792 0.872
```

For the calculated volume, the calculation gives 10.8 Å³/atom. As for the space group: Ia-3d, No. 230. For the energy of formation from the pure elements, the calculation gives -32.39 eV/f.u. The value obtained for the raw total energy is -5.382 eV per atom.



Entry 8:
A plane-wave DFT calculation with GGA+U was carried out for an optimized crystal structure of Pr3VGeO9.

POSCAR file:
```
Pr3VGeO9
1.0
7.177 0.000 0.000
0.000 12.744 0.000
-4.318 0.000 9.040
Pr V Ge O
12 4 4 36
direct
0.046 0.131 0.377
0.046 0.369 0.877
0.368 0.608 0.874
0.368 0.892 0.374
0.393 0.134 0.153
0.393 0.366 0.653
0.607 0.634 0.347
0.607 0.866 0.847
0.632 0.108 0.626
0.632 0.392 0.126
0.954 0.631 0.123
0.954 0.869 0.623
0.219 0.663 0.522
0.219 0.837 0.022
0.781 0.163 0.978
0.781 0.337 0.478
0.192 0.102 0.739
0.192 0.398 0.239
0.808 0.602 0.761
0.808 0.898 0.261
0.025 0.159 0.126
0.025 0.341 0.626
0.063 0.576 0.909
0.063 0.924 0.409
0.174 0.173 0.884
0.174 0.327 0.384
0.246 0.748 0.164
0.246 0.752 0.664
0.282 0.530 0.276
0.282 0.970 0.776
0.288 0.546 0.619
0.288 0.954 0.119
0.311 0.170 0.638
0.311 0.330 0.138
0.378 0.079 0.383
0.378 0.421 0.883
0.394 0.709 0.460
0.394 0.791 0.960
0.606 0.209 0.040
0.606 0.291 0.540
0.622 0.579 0.117
0.622 0.921 0.617
0.689 0.670 0.862
0.689 0.830 0.362
0.712 0.046 0.881
0.712 0.454 0.381
0.718 0.030 0.224
0.718 0.470 0.724
0.754 0.248 0.336
0.754 0.252 0.836
0.826 0.673 0.616
0.826 0.827 0.116
0.937 0.076 0.591
0.937 0.424 0.091
0.975 0.659 0.374
0.975 0.841 0.874
```

For the calculated volume, the calculation gives 14.8 Å³/atom. As for the space group: P2_1/c, No. 14. For the energy of formation from the pure elements, the calculation gives -44.82 eV/f.u. The value obtained for the raw total energy is -7.822 eV per atom.



Entry 9:
A plane-wave DFT calculation with GGA+U was carried out for an optimized crystal structure of Sm3VGeO9.

POSCAR file:
```
Sm3VGeO9
1.0
7.049 0.000 0.000
0.000 12.458 0.000
-4.196 0.000 8.887
Sm V Ge O
12 4 4 36
direct
0.051 0.132 0.380
0.051 0.368 0.880
0.369 0.606 0.873
0.369 0.894 0.373
0.399 0.136 0.158
0.399 0.364 0.658
0.601 0.636 0.342
0.601 0.864 0.842
0.631 0.106 0.627
0.631 0.394 0.127
0.949 0.632 0.120
0.949 0.868 0.620
0.218 0.662 0.520
0.218 0.838 0.020
0.782 0.162 0.980
0.782 0.338 0.480
0.191 0.100 0.744
0.191 0.400 0.244
0.809 0.600 0.756
0.809 0.900 0.256
0.029 0.159 0.132
0.029 0.341 0.632
0.067 0.575 0.908
0.067 0.925 0.408
0.174 0.172 0.891
0.174 0.328 0.391
0.240 0.749 0.166
0.240 0.751 0.666
0.278 0.535 0.277
0.278 0.965 0.777
0.290 0.542 0.620
0.290 0.958 0.120
0.314 0.169 0.641
0.314 0.331 0.141
0.382 0.080 0.385
0.382 0.420 0.885
0.400 0.712 0.464
0.400 0.788 0.964
0.600 0.212 0.036
0.600 0.288 0.536
0.618 0.580 0.115
0.618 0.920 0.615
0.686 0.669 0.859
0.686 0.831 0.359
0.710 0.042 0.880
0.710 0.458 0.380
0.722 0.035 0.223
0.722 0.465 0.723
0.760 0.249 0.334
0.760 0.251 0.834
0.826 0.672 0.609
0.826 0.828 0.109
0.933 0.075 0.592
0.933 0.425 0.092
0.971 0.659 0.368
0.971 0.841 0.868
```

For the calculated volume, the calculation gives 13.9 Å³/atom. As for the space group: P2_1/c, No. 14. For the energy of formation from the pure elements, the calculation gives -45.37 eV/f.u. The value obtained for the raw total energy is -7.849 eV per atom.



> The highest calculated volume belongs to which entry?

Pr3VGeO9